Compound: MnCr2Fe3P6O24
Source: Materials Project
Functional: PBE with a Hubbard U
Structure: optimized geometry

Calculated values
E_tot = -7.275 eV per atom

```
36
Lattice="7.233 -4.318 0.000 7.233 4.318 0.000 4.655 0.000 7.021" Properties=species:S:1:pos:R:3 pbc="T T T"
O 6.479 0.767 0.739
O 13.670 -0.947 3.479
O 5.454 0.950 3.531
O 10.495 0.688 5.245
O 8.145 3.640 1.746
P 11.240 -3.024 3.848
O 12.640 -0.779 6.285
Fe 16.323 0.000 5.994
Mn 2.775 0.000 1.019
O 10.278 -3.502 2.776
Cr 9.569 0.000 3.514
O 8.826 3.538 4.252
P 7.887 3.025 3.172
P 12.007 1.739 1.759
O 12.661 0.805 0.670
O 10.490 2.832 6.583
O 5.912 -1.717 2.283
O 7.761 -0.796 4.182
O 8.645 -0.685 1.774
Fe 12.368 0.000 4.542
O 10.839 2.563 1.248
P 10.201 1.285 6.675
O 10.373 -0.947 0.039
O 10.970 -3.637 5.275
O 6.454 -0.808 6.351
O 10.965 -1.475 3.966
O 11.376 0.787 2.847
O 8.260 -2.591 5.792
Fe 6.758 0.000 2.482
O 13.205 1.726 4.746
O 8.628 -2.832 0.432
P 7.118 -1.737 5.267
P 8.924 -1.288 0.349
O 8.748 0.940 6.943
Cr 19.111 0.000 7.018
O 8.170 1.481 3.068
```



Compound: Cr2FeNO8
Source: Materials Project
Functional: PBE with a Hubbard U
Structure: optimized geometry

Calculated values
relative energy among the computed polymorphs = 3 meV/atom
E_tot = -6.225 eV per atom

```
48
Lattice="-10.269 -0.161 12.134 -0.959 -5.470 -0.884 6.361 -2.087 5.355" Properties=species:S:1:pos:R:3 pbc="T T T"
Cr 1.207 -6.699 4.444
O 0.703 -5.212 5.065
O -3.786 -7.223 12.739
N 3.811 -4.227 4.144
Fe -5.456 -3.985 12.010
O 1.009 -2.383 5.690
O -1.607 -2.255 6.470
O -1.991 -4.127 9.912
Cr -1.909 -0.663 5.960
O -8.065 -4.144 8.998
O -3.804 -6.558 8.914
N -4.505 -3.425 7.531
O 1.653 -4.833 9.877
O -4.911 -2.495 10.763
O -0.804 -1.580 1.783
Fe -1.800 -7.599 12.885
N 0.088 -1.707 9.563
O -5.305 -0.537 8.835
Fe -1.971 -0.101 2.426
O 2.695 -7.145 5.104
O -4.424 -5.794 5.272
Cr 1.774 -4.717 8.278
O 2.253 -6.214 7.662
O -1.379 -6.096 11.650
O 2.289 -1.107 3.730
O -0.903 -3.431 12.269
O -4.275 -1.984 15.862
O -5.541 -5.329 10.520
O -1.944 -5.051 6.000
Fe -0.456 -3.749 5.830
Cr -5.303 -7.092 13.416
O 1.037 -3.529 2.069
Cr -1.944 -4.504 11.471
O -0.909 -3.338 3.898
Cr -8.251 -3.025 10.230
O -5.394 -2.706 13.524
O 0.288 -4.256 7.622
O -1.458 -4.247 1.375
Cr -4.402 -0.992 10.186
O -9.809 -2.936 10.615
O -7.352 -3.496 11.579
O -5.876 -5.503 13.227
Cr -0.513 -3.175 2.287
O 2.943 -3.578 7.909
N -9.200 -6.077 12.059
O -7.742 -1.513 9.679
O -3.470 -4.372 12.130
O -1.494 -0.501 4.355
```



Compound: Cr2FeNO8
Source: Materials Project
Functional: PBE with a Hubbard U
Structure: optimized geometry

Calculated values
relative energy among the computed polymorphs = 7 meV/atom
E_tot = -6.221 eV per atom

```
48
Lattice="-14.060 0.113 -6.818 -1.411 -4.634 2.832 -4.401 0.273 9.080" Properties=species:S:1:pos:R:3 pbc="T T T"
Fe -1.843 -0.018 1.862
N -15.401 -3.186 6.416
N -4.471 -1.062 -1.322
Cr -11.119 -1.161 0.811
O -5.599 -3.373 10.797
O -9.127 -0.833 -3.174
O -4.714 -3.582 5.585
O -16.019 -3.069 -1.609
O -11.104 -0.778 4.618
O -12.149 -2.981 5.875
O -15.158 -0.666 -0.492
N -14.434 -3.313 1.278
O -3.852 -1.179 6.703
Cr -4.792 -2.568 6.941
Cr -12.526 -1.582 4.998
O -13.266 -1.998 3.631
O -3.642 -3.760 2.950
O -6.319 -2.133 7.209
O -10.530 -0.653 -0.700
O -11.400 -2.840 0.771
O -7.832 -3.728 9.354
O -9.885 -3.458 3.111
O -12.040 -0.519 -4.260
O -9.987 -0.790 1.982
O -10.744 -3.414 8.268
N -5.438 -0.935 3.816
Cr -8.753 -3.087 4.283
O -15.651 -0.860 -3.194
O -6.606 -2.250 1.463
O -9.341 -3.595 5.793
O -7.723 -1.267 -0.781
Cr -17.058 -0.995 3.538
Fe -18.029 -4.230 3.231
O -13.553 -2.115 -2.115
Cr -7.346 -2.666 0.095
O -7.374 -3.851 3.969
O -16.230 -0.488 2.143
O -14.273 -0.875 -5.703
O -4.221 -3.388 8.288
O -2.997 -1.571 1.370
O -16.875 -2.677 3.724
O -12.498 -0.397 1.125
Fe -9.552 0.163 3.731
O -8.768 -3.470 0.475
Fe -10.319 -4.411 1.363
Cr -2.813 -3.253 1.556
Cr -15.080 -1.680 -1.847
O -8.471 -1.408 4.322
```



Compound: Cr2FeNO8
Source: Materials Project
Functional: PBE with a Hubbard U
Structure: optimized geometry

Calculated values
relative energy among the computed polymorphs = 0 meV/atom
E_tot = -6.228 eV per atom

```
48
Lattice="5.587 0.000 0.000 0.000 8.827 0.000 0.000 0.000 14.785" Properties=species:S:1:pos:R:3 pbc="T T T"
O 1.397 3.775 7.007
Fe 1.397 4.373 5.069
O 4.190 3.757 11.613
O 1.397 5.070 3.172
O 1.397 1.235 7.954
O 5.557 5.710 5.474
O 1.397 0.639 14.399
O 0.030 1.297 1.919
O 2.819 3.045 4.613
O 5.561 3.045 4.613
O 1.397 8.171 10.564
O 2.763 3.117 9.311
O 2.768 7.458 2.779
Cr 1.397 1.619 0.970
O 4.190 5.649 14.223
O 4.190 0.656 4.221
O 2.819 1.369 12.006
O 4.190 8.188 0.386
N 4.190 0.282 9.259
Cr 4.190 7.208 13.815
O 4.190 5.052 7.778
N 1.397 4.695 12.918
O 5.557 7.530 12.866
O 5.561 1.369 12.006
Cr 4.190 2.137 5.031
Cr 1.397 6.551 2.362
O 0.030 3.117 9.311
Cr 1.397 2.794 8.362
N 1.397 8.546 5.525
Fe 4.190 8.787 2.323
O 2.768 5.782 10.171
O 1.397 3.178 0.562
N 4.190 4.132 1.867
O 2.763 1.297 1.919
O 4.190 2.527 14.004
O 4.190 7.592 6.831
Fe 1.397 0.040 12.462
Cr 4.190 6.033 6.422
O 4.190 1.887 6.611
Fe 4.190 4.454 9.715
O 1.397 6.301 0.781
O 2.824 7.530 12.866
O 2.824 5.710 5.474
Cr 1.397 6.690 9.754
O 0.026 7.458 2.779
O 0.026 5.782 10.171
Cr 4.190 2.276 12.423
O 1.397 6.940 8.174
```



Compound: NaCr2FeO10
Source: Materials Project
Functional: PBE with a Hubbard U
Structure: optimized geometry

Calculated values
relative energy among the computed polymorphs = 0 meV/atom
E_tot = -5.884 eV per atom

```
28
Lattice="-4.414 -4.706 4.103 -2.889 -0.274 7.075 -10.051 3.730 -0.404" Properties=species:S:1:pos:R:3 pbc="T T T"
O -8.327 -1.100 8.678
O -4.390 -2.556 3.626
O -8.657 -2.646 5.950
O -5.538 -3.043 6.922
Na -6.611 -2.855 4.618
O -10.223 -1.287 4.327
O -7.131 0.037 6.446
O -10.428 -0.784 6.984
O -12.993 -0.527 4.616
O -3.188 0.347 3.881
Cr -4.400 -1.801 7.368
O -1.996 -0.694 1.703
O -9.027 -0.150 2.095
O -14.166 -1.598 6.893
O -12.964 1.306 7.148
O -10.438 -2.726 9.068
O -6.926 -0.466 3.789
Na -10.743 1.605 6.156
Cr -12.954 0.551 3.405
Cr -10.139 -2.008 5.777
O -8.697 1.396 4.823
O -6.916 1.476 1.706
Fe -7.233 -0.488 1.850
O -11.815 1.793 3.852
Fe -1.444 -0.137 3.537
Cr -7.215 0.758 4.996
O -4.361 -0.723 6.158
O -15.358 -0.556 9.071
```



Compound: NaCr2FeO10
Source: Materials Project
Functional: PBE with a Hubbard U
Structure: optimized geometry

Calculated values
relative energy among the computed polymorphs = 5 meV/atom
E_tot = -5.878 eV per atom

```
14
Lattice="2.761 5.305 0.000 -2.761 5.305 0.000 0.000 3.087 6.947" Properties=species:S:1:pos:R:3 pbc="T T T"
O 0.000 10.248 5.172
Fe 0.000 0.000 0.000
O -1.418 7.915 5.587
Na 0.000 1.544 3.474
O -1.418 5.783 1.360
O 0.000 3.449 1.775
Cr 0.000 8.639 4.936
O 0.000 8.854 0.532
O 1.418 5.783 1.360
O 0.000 8.321 3.342
O 0.000 5.377 3.605
Cr 0.000 5.059 2.011
O 1.418 7.915 5.587
O 0.000 4.844 6.415
```



Compound: Cr2Fe3NiP6O24
Source: Materials Project
Functional: PBE with a Hubbard U
Structure: optimized geometry

Calculated values
E_tot = -7.085 eV per atom

```
36
Lattice="-7.380 2.883 2.783 -2.226 -1.773 7.901 0.045 6.234 5.627" Properties=species:S:1:pos:R:3 pbc="T T T"
P -5.006 0.278 7.466
O -3.480 1.198 10.567
Ni -8.190 6.290 13.971
O -4.431 1.519 4.566
O -4.623 3.344 10.188
Fe -1.394 1.070 2.378
P -4.569 7.066 8.844
O -6.076 6.116 5.782
O -1.394 4.096 9.436
O -1.873 1.445 6.098
O -2.620 3.890 4.560
O -6.745 3.679 8.794
O -3.829 -0.495 8.180
O -6.796 4.030 4.404
O -0.977 5.375 7.209
O -5.013 5.558 8.963
Fe -6.184 4.750 10.549
O -5.122 5.808 11.750
P -1.335 4.020 7.933
O -4.514 1.775 7.338
O -5.726 7.837 8.142
Fe -3.376 2.593 5.759
O -6.953 3.451 11.737
Cr -4.775 3.668 8.146
P -3.928 2.460 11.294
Cr -9.552 7.336 16.295
O -4.939 3.970 6.101
O -8.587 1.980 9.102
O -2.777 3.308 11.910
O -3.256 7.032 8.071
O -7.675 5.910 10.207
O -6.288 0.354 8.252
P -8.225 3.317 8.389
P -5.630 4.896 5.021
O -8.214 3.252 6.867
O -2.810 3.673 7.482
```



Compound: CrFe7O12
Source: Materials Project
Functional: PBE with a Hubbard U
Structure: optimized geometry

Calculated values
E_tot = -6.614 eV per atom

```
80
Lattice="-7.697 0.602 -6.943 -5.273 -5.744 4.787 -3.638 8.594 4.550" Properties=species:S:1:pos:R:3 pbc="T T T"
Cr -7.237 -4.008 4.228
Fe -11.882 8.141 -1.577
O -11.099 6.474 1.293
O -5.474 -1.893 1.624
O -10.375 0.153 2.962
O -6.122 -0.732 -0.941
Fe -8.518 3.583 1.562
O -7.569 3.769 -3.402
O -14.689 -0.385 0.136
Fe -11.941 1.887 2.761
O -10.367 1.422 5.763
Fe -9.837 0.428 1.084
Fe -5.633 4.684 4.000
O -7.147 5.763 4.493
Fe -14.172 3.237 4.128
O -7.624 6.335 -0.778
O -12.292 1.290 1.016
Fe -13.304 2.814 0.183
O -6.922 -4.426 2.193
O -8.639 1.813 0.533
O -12.922 -1.463 -1.827
Fe -11.069 -2.429 0.906
Fe -9.373 6.164 0.189
O -7.353 0.523 3.900
Fe -3.372 5.719 2.151
O -10.222 3.024 2.667
O -3.917 0.323 3.282
O -10.448 -1.522 -3.229
Fe -9.326 3.493 -4.219
O -5.487 -0.184 -3.384
O -10.846 -0.752 0.000
O -2.332 1.927 1.253
O -12.845 1.511 -1.410
O -12.312 3.097 4.269
Fe -7.118 0.593 0.161
O -5.504 3.350 5.426
O -9.837 2.545 -2.605
Fe -10.517 3.233 4.873
O -9.568 4.286 -0.089
Fe -5.996 5.722 0.049
O -11.122 -3.570 -0.651
Cr -7.270 -0.340 -2.576
Fe -3.892 0.421 1.222
O -9.540 -3.148 1.824
O -4.269 4.655 0.602
Cr -7.505 -2.612 1.572
O -3.499 0.749 -0.732
O -2.394 -1.003 1.540
O -4.357 6.156 3.815
Fe -4.881 1.020 -1.997
Fe -7.164 2.261 4.661
Fe -8.714 -0.711 3.592
Fe -12.749 -0.148 -0.285
O -8.880 5.435 2.137
O -6.849 3.943 0.356
O -10.051 7.578 -1.255
O -7.528 -2.273 3.527
Fe -5.454 3.145 1.492
O -7.125 -3.295 -0.323
Fe -11.582 -2.719 -2.281
Fe -8.976 6.123 3.970
O -8.607 3.430 5.076
O -7.539 1.682 6.781
Fe -8.230 3.223 -1.341
O -4.215 3.489 3.037
O -5.681 1.306 1.173
O -8.148 0.423 -4.171
Fe -8.858 3.146 7.044
O -6.859 3.357 2.946
O -12.763 3.775 1.764
O -8.209 -0.693 1.370
Fe -11.158 4.796 2.305
Fe -3.634 -2.542 1.847
Cr -9.834 0.178 -3.433
O -6.720 1.573 -1.676
Fe -11.741 2.632 -2.566
O -8.843 0.015 -1.769
O -7.511 4.434 7.458
Fe -5.719 -0.726 3.597
O -5.773 -5.203 4.447
```



Compound: Cr4Fe2O19
Source: Materials Project
Functional: PBE with a Hubbard U
Structure: optimized geometry

Calculated values
E_tot = -5.964 eV per atom

```
50
Lattice="10.910 0.000 0.000 0.000 5.608 0.000 0.000 5.416 13.780" Properties=species:S:1:pos:R:3 pbc="T T T"
O 2.395 2.904 2.786
O 10.627 2.697 2.677
O 5.170 5.306 4.223
Fe 3.779 4.158 3.445
Cr 4.294 8.722 11.662
O 6.274 6.989 6.019
O 9.764 9.921 12.774
O 9.764 3.811 7.896
O 10.627 5.619 4.214
O 7.117 5.717 12.092
O 9.913 6.605 7.578
O 7.642 3.435 1.636
O 7.117 8.015 8.579
O 4.636 9.697 12.909
O 6.274 1.327 0.872
O 0.283 5.405 9.567
Fe 0.000 2.708 6.890
O 7.325 1.354 3.445
O 9.732 2.816 5.488
O 9.732 5.500 1.402
Fe 7.131 6.866 10.335
O 0.283 8.327 11.104
O 7.642 4.881 5.254
O 3.585 4.062 10.335
O 1.146 7.213 5.884
O 8.515 5.612 9.676
O 3.268 6.143 8.526
O 1.146 1.102 1.006
O 1.178 8.208 8.292
Cr 1.046 2.669 1.792
Cr 6.616 2.301 2.119
Cr 1.046 5.647 5.098
O 1.178 5.524 12.378
O 3.268 7.589 12.144
O 9.913 7.128 13.092
O 3.793 3.009 5.201
O 3.793 5.307 1.689
O 5.741 5.718 9.557
O 0.997 4.419 6.202
Cr 6.616 6.014 4.772
O 2.395 5.412 4.104
O 4.636 4.035 7.762
O 5.741 8.014 11.113
Fe 0.000 0.000 0.000
Cr 9.864 5.377 8.683
Cr 4.294 5.010 9.009
O 8.515 8.120 10.994
Cr 9.864 8.355 11.988
O 0.997 3.896 0.688
O 5.170 3.009 2.667
```



no.,DFT formation energy (eV per atom),total magnetic moment (μB per cell)
1,-2.38,25.00
2,-0.90,35.87
3,-0.89,35.55
4,-0.90,33.27
5,-1.21,2.00
6,-1.20,1.00
7,-2.31,24.09
8,-1.50,148.00
9,-1.00,32.00